Record 1
Entry from the Materials Project database: a geometry-optimized Ce2UTe4 structure (PBE).

Unit cell a=8.2096 b=8.2096 c=8.2096 alpha=109.42 beta=109.42 gamma=109.58
Last column: nearest neighbours and their distance in Å.
Fractional coordinates of all 14 atoms:
Ce 0.0004 0.6250 0.8754  8 Te 3.21-3.38
Ce 0.3750 0.2504 0.3754  8 Te 3.21-3.38
Ce 0.7496 0.1250 0.1246  8 Te 3.21-3.38
Ce 0.8750 0.9996 0.6246  8 Te 3.21-3.38
U 0.2500 0.7500 0.5000  8 Te 3.20-3.32
U 0.5000 0.5000 0.0000  8 Te 3.20-3.32
Te 0.1293 0.3792 0.0987  2 U 3.20-3.32, 4 Ce 3.21-3.38, 1 Te 3.53
Te 0.1292 0.3793 0.5987  2 U 3.20-3.32, 4 Ce 3.21-3.38, 1 Te 3.53
Te 0.2805 0.0306 0.9013  2 U 3.20-3.32, 4 Ce 3.21-3.38, 1 Te 3.53
Te 0.4695 0.8708 0.2501  2 U 3.20-3.32, 4 Ce 3.21-3.38, 1 Te 3.53
Te 0.6207 0.2194 0.7499  2 U 3.20-3.32, 4 Ce 3.21-3.38, 1 Te 3.53
Te 0.6208 0.7195 0.7501  2 U 3.20-3.32, 4 Ce 3.21-3.38, 1 Te 3.53
Te 0.7806 0.5305 0.4013  2 U 3.20-3.32, 4 Ce 3.21-3.38, 1 Te 3.53
Te 0.9694 0.8707 0.2499  2 U 3.20-3.32, 4 Ce 3.21-3.38, 1 Te 3.53

## Properties
Mass density: 8.02 g cm⁻³
Corrected total energy (MP2020 scheme): -6.4786 eV per atom
Energy: -6.237 eV/atom

***

Record 2
Entry from the Materials Project database: a geometry-optimized KNaMg5Si12O30 structure (PBE).

Unit cell a=10.3525 b=10.3525 c=14.1778 alpha=90.00 beta=90.00 gamma=120.00
Last column: nearest neighbours and their distance in Å.
Fractional coordinates of all 98 atoms:
K 0.0000 0.0000 0.0000  12 O 2.94-3.07
K 0.0000 0.0000 0.5000  12 O 2.94-3.07
Na 0.3333 0.6667 0.2500  9 O 2.65-2.96
Na 0.6667 0.3333 0.7500  9 O 2.65-2.96
Mg 0.0000 0.5046 0.0000  4 O 1.97-2.01
Mg 0.0000 0.5046 0.5000  4 O 1.97-2.01
Mg 0.3333 0.6667 0.5052  6 O 2.10-2.16
Mg 0.3333 0.6667 0.9948  6 O 2.10-2.16
Mg 0.4954 0.4954 0.0000  4 O 1.97-2.01
Mg 0.4954 0.4954 0.5000  4 O 1.97-2.01
Mg 0.5046 0.0000 0.0000  4 O 1.97-2.01
Mg 0.5046 0.0000 0.5000  4 O 1.97-2.01
Mg 0.6667 0.3333 0.0052  6 O 2.10-2.16
Mg 0.6667 0.3333 0.4948  6 O 2.10-2.16
Si 0.1133 0.3469 0.6363  4 O 1.61-1.66
Si 0.1133 0.3469 0.8637  4 O 1.61-1.66
Si 0.1150 0.7689 0.1360  4 O 1.61-1.64
Si 0.1150 0.7689 0.3640  4 O 1.61-1.64
Si 0.2311 0.3461 0.1360  4 O 1.61-1.64
Si 0.2311 0.3461 0.3640  4 O 1.61-1.64
Si 0.2337 0.8867 0.6363  4 O 1.61-1.66
Si 0.2337 0.8867 0.8637  4 O 1.61-1.66
Si 0.3461 0.2311 0.6360  4 O 1.61-1.64
Si 0.3461 0.2311 0.8640  4 O 1.61-1.64
Si 0.3469 0.1133 0.1363  4 O 1.61-1.66
Si 0.3469 0.1133 0.3637  4 O 1.61-1.66
Si 0.6531 0.7663 0.6363  4 O 1.61-1.66
Si 0.6531 0.7663 0.8637  4 O 1.61-1.66
Si 0.6539 0.8850 0.1360  4 O 1.61-1.64
Si 0.6539 0.8850 0.3640  4 O 1.61-1.64
Si 0.7663 0.6531 0.1363  4 O 1.61-1.66
Si 0.7663 0.6531 0.3637  4 O 1.61-1.66
Si 0.7689 0.1150 0.6360  4 O 1.61-1.64
Si 0.7689 0.1150 0.8640  4 O 1.61-1.64
Si 0.8850 0.6539 0.6360  4 O 1.61-1.64
Si 0.8850 0.6539 0.8640  4 O 1.61-1.64
Si 0.8867 0.2337 0.1363  4 O 1.61-1.66
Si 0.8867 0.2337 0.3637  4 O 1.61-1.66
O 0.0553 0.2681 0.1052  2 Si 1.64-1.66
O 0.0553 0.2681 0.3948  2 Si 1.64-1.66
O 0.0575 0.7767 0.6081  2 Si 1.64-1.65
O 0.0575 0.7767 0.8919  2 Si 1.64-1.65
O 0.1171 0.3646 0.7500  2 Si 1.62
O 0.1364 0.7586 0.2500  2 Si 1.64
O 0.1524 0.4960 0.5792  1 Si 1.61
O 0.1524 0.4960 0.9208  1 Si 1.61
O 0.1598 0.6600 0.0822  1 Si 1.61
O 0.1598 0.6600 0.4178  1 Si 1.61
O 0.2128 0.9447 0.1052  2 Si 1.64-1.66
O 0.2128 0.9447 0.3948  2 Si 1.64-1.66
O 0.2233 0.2808 0.6081  2 Si 1.64-1.65
O 0.2233 0.2808 0.8919  2 Si 1.64-1.65
O 0.2414 0.3778 0.2500  2 Si 1.64
O 0.2475 0.8829 0.7500  2 Si 1.62
O 0.2681 0.0553 0.6052  2 Si 1.64-1.66
O 0.2681 0.0553 0.8948  2 Si 1.64-1.66
O 0.2808 0.2233 0.1081  2 Si 1.64-1.65
O 0.2808 0.2233 0.3919  2 Si 1.64-1.65
O 0.3400 0.4998 0.0822  1 Si 1.61
O 0.3400 0.4998 0.4178  1 Si 1.61
O 0.3436 0.8476 0.5792  1 Si 1.61
O 0.3436 0.8476 0.9208  1 Si 1.61
O 0.3646 0.1171 0.2500  2 Si 1.62
O 0.3778 0.2414 0.7500  2 Si 1.64
O 0.4960 0.1524 0.0792  1 Si 1.61
O 0.4960 0.1524 0.4208  1 Si 1.61
O 0.4998 0.3400 0.5822  1 Si 1.61
O 0.4998 0.3400 0.9178  1 Si 1.61
O 0.5002 0.8402 0.0822  1 Si 1.61
O 0.5002 0.8402 0.4178  1 Si 1.61
O 0.5040 0.6564 0.5792  1 Si 1.61
O 0.5040 0.6564 0.9208  1 Si 1.61
O 0.6222 0.8636 0.2500  2 Si 1.64
O 0.6354 0.7525 0.7500  2 Si 1.62
O 0.6564 0.5040 0.0792  1 Si 1.61
O 0.6564 0.5040 0.4208  1 Si 1.61
O 0.6600 0.1598 0.5822  1 Si 1.61
O 0.6600 0.1598 0.9178  1 Si 1.61
O 0.7192 0.9425 0.6081  2 Si 1.64-1.65
O 0.7192 0.9425 0.8919  2 Si 1.64-1.65
O 0.7319 0.7872 0.1052  2 Si 1.64-1.66
O 0.7319 0.7872 0.3948  2 Si 1.64-1.66
O 0.7525 0.6354 0.2500  2 Si 1.62
O 0.7586 0.1364 0.7500  2 Si 1.64
O 0.7767 0.0575 0.1081  2 Si 1.64-1.65
O 0.7767 0.0575 0.3919  2 Si 1.64-1.65
O 0.7872 0.7319 0.6052  2 Si 1.64-1.66
O 0.7872 0.7319 0.8948  2 Si 1.64-1.66
O 0.8402 0.5002 0.5822  1 Si 1.61
O 0.8402 0.5002 0.9178  1 Si 1.61
O 0.8476 0.3436 0.0792  1 Si 1.61
O 0.8476 0.3436 0.4208  1 Si 1.61
O 0.8636 0.6222 0.7500  2 Si 1.64
O 0.8829 0.2475 0.2500  2 Si 1.62
O 0.9425 0.7192 0.1081  2 Si 1.64-1.65
O 0.9425 0.7192 0.3919  2 Si 1.64-1.65
O 0.9447 0.2128 0.6052  2 Si 1.64-1.66
O 0.9447 0.2128 0.8948  2 Si 1.64-1.66

## Properties
Mass density: 2.53 g cm⁻³
Corrected total energy (MP2020 scheme): -7.7641 eV per atom
Energy: -7.343 eV/atom

***

Record 3
Entry from the Materials Project database: a geometry-optimized Ba10Ge3C3O26 structure (PBE).

Unit cell a=7.8775 b=10.3465 c=10.3623 alpha=60.35 beta=89.98 gamma=89.98
Last column: nearest neighbours and their distance in Å.
Fractional coordinates of all 42 atoms:
Ba 0.0000 0.0000 0.0000  4 O 2.61-2.76
Ba 0.0012 0.2059 0.2858  4 O 2.60-2.83
Ba 0.0018 0.4966 0.7914  4 O 2.61-2.78
Ba 0.2554 0.5728 0.3575  6 O 2.66-2.86
Ba 0.2579 0.9027 0.6912  6 O 2.72-2.93
Ba 0.5021 0.9837 0.2681  5 O 2.60-2.79
Ba 0.5033 0.2447 0.7730  5 O 2.59-2.80
Ba 0.5061 0.4800 0.0333  5 O 2.59-2.81
Ba 0.7488 0.9009 0.6909  6 O 2.70-2.89
Ba 0.7501 0.5690 0.3589  6 O 2.69-2.87
Ge 0.4983 0.2102 0.4184  4 O 1.76-1.79
Ge 0.4993 0.6299 0.6580  4 O 1.77-1.79
Ge 0.4991 0.8689 0.9986  4 O 1.77-1.79
C 0.0005 0.8277 0.4074  4 O 1.38-1.40
C 0.0005 0.2646 0.6183  4 O 1.38-1.39
C 0.9992 0.6171 0.0528  4 O 1.37-1.40
O 0.0028 0.6745 0.4837  1 C 1.38
O 0.0031 0.6938 0.1306  1 C 1.38
O 0.0062 0.3422 0.4649  1 C 1.38
O 0.0542 0.2360 0.0238  3 Ba 2.61
O 0.1377 0.8808 0.3085  1 C 1.40
O 0.1388 0.5217 0.0958  1 C 1.40
O 0.1424 0.3086 0.6667  1 C 1.39
O 0.3176 0.1443 0.3655  1 Ge 1.78
O 0.3182 0.9869 0.9345  1 Ge 1.78
O 0.3193 0.5771 0.7766  1 Ge 1.78
O 0.4995 0.4059 0.3333  1 Ge 1.76
O 0.5003 0.5433 0.5478  1 Ge 1.77
O 0.5012 0.7584 0.1940  1 Ge 1.77
O 0.5041 0.8274 0.5559  1 Ge 1.78
O 0.5053 0.1127 0.6156  1 Ge 1.78
O 0.5047 0.7675 0.9013  1 Ge 1.78
O 0.5945 0.2358 0.0267  3 Ba 2.65-2.68
O 0.6810 0.1472 0.3631  1 Ge 1.79
O 0.6816 0.9865 0.9344  1 Ge 1.79
O 0.6830 0.5784 0.7739  1 Ge 1.79
O 0.8592 0.3045 0.6705  1 C 1.39
O 0.8630 0.5181 0.0984  1 C 1.39
O 0.8645 0.8824 0.3078  1 C 1.40
O 0.9988 0.1123 0.6767  1 C 1.38
O 0.9985 0.7123 0.9021  1 C 1.37
O 0.9992 0.8843 0.5028  1 C 1.38

## Properties
Mass density: 4.62 g cm⁻³
Corrected total energy (MP2020 scheme): -6.8892 eV per atom
Energy: -6.464 eV/atom